# 1
The following is a r²SCAN calculation of crystalline CeBr3 at its relaxed geometry, from the Materials Project.

Cell lengths 8.0868, 8.0868, 4.3995 Å; angles 90.00, 90.00, 120.00 degrees
Atoms (fractional coordinates):
Br 0.3004 0.9121 0.7500
Br 0.0879 0.3883 0.7500
Br 0.6117 0.6996 0.7500
Br 0.9121 0.6117 0.2500
Br 0.6996 0.0879 0.2500
Br 0.3883 0.3004 0.2500
Ce 0.6667 0.3333 0.7500
Ce 0.3333 0.6667 0.2500

Uncorrected energy ... -158.612 eV per cell
Energy relative to the elements ... -210 kJ/mol of atoms
Crystal system ... hexagonal


# 2
The following is a r²SCAN calculation of crystalline CaCu4As2 at its relaxed geometry, from the Materials Project.

Cell lengths 7.9191, 7.9191, 7.9191 Å; angles 30.15, 30.15, 30.15 degrees
Atoms (fractional coordinates):
Cu 0.5613 0.5613 0.5613
Cu 0.4387 0.4387 0.4387
As 0.2522 0.2522 0.2522
Ca 0.0000 0.0000 0.0000
Cu 0.8555 0.8555 0.8555
As 0.7478 0.7478 0.7478
Cu 0.1445 0.1445 0.1445

Uncorrected energy ... -82.674 eV per cell
Energy relative to the elements ... -39 kJ/mol of atoms
Crystal system ... trigonal


# 3
The following is a r²SCAN calculation of crystalline Li6Zn3P4S16 at its relaxed geometry, from the Materials Project.

Cell lengths 9.1394, 11.5143, 22.9539 Å; angles 89.96, 89.99, 89.97 degrees
Atoms (fractional coordinates):
P 0.7492 0.2509 0.7484
Li 0.5062 0.9969 0.5017
S 0.6378 0.1443 0.8046
S 0.6376 0.6450 0.8029
S 0.3659 0.8923 0.3236
S 0.1234 0.3881 0.9291
P 0.2480 0.4938 0.1244
S 0.1252 0.9049 0.1772
S 0.6404 0.3568 0.4447
Zn 0.9988 0.5018 0.7482
S 0.6292 0.6440 0.3046
Li 0.5034 0.5007 0.7502
S 0.1359 0.1049 0.5692
Zn 0.0010 0.9998 0.5011
S 0.3747 0.1112 0.4302
Li 0.5007 0.5035 0.9996
S 0.6325 0.6468 0.0561
Li 0.2476 0.2409 0.2496
S 0.3686 0.3875 0.0720
P 0.7519 0.7497 0.0011
Li 0.0053 0.7527 0.8738
Li 0.9951 0.2481 0.3786
P 0.7505 0.7490 0.4997
S 0.1365 0.3956 0.6805
Zn 0.5066 0.2490 0.3783
S 0.3713 0.1110 0.1771
S 0.3677 0.6085 0.4262
Zn 0.0001 0.5008 0.2512
Zn 0.0015 0.9965 0.9997
S 0.8666 0.6378 0.4474
Li 0.0062 0.7524 0.6238
S 0.6342 0.6455 0.5553
P 0.2513 0.4970 0.8761
S 0.3642 0.3877 0.5719
Zn 0.9973 0.0000 0.7500
S 0.8678 0.3606 0.5529
S 0.8627 0.1364 0.4487
S 0.3603 0.6042 0.9286
P 0.7496 0.7527 0.2525
P 0.2482 0.4991 0.3753
P 0.7513 0.2498 0.5011
Zn 0.5020 0.7507 0.6259
P 0.2505 0.0026 0.1246
S 0.3657 0.8969 0.8235
S 0.8727 0.6430 0.9480
Li 0.0198 0.7482 0.1275
S 0.6346 0.1466 0.5564
S 0.6290 0.1516 0.3032
Li 0.0034 0.2499 0.6252
S 0.8719 0.1401 0.9479
P 0.7519 0.7464 0.7488
Li 0.4924 0.5033 0.2516
Li 0.7461 0.5066 0.1257
Zn 0.9991 0.5011 0.5011
S 0.3651 0.8880 0.5729
S 0.8715 0.6406 0.1985
S 0.1379 0.8992 0.4314
S 0.1247 0.1104 0.0695
S 0.8734 0.6411 0.6949
S 0.3654 0.1116 0.6773
Li 0.4992 0.7481 0.8751
S 0.3675 0.1159 0.9259
S 0.1259 0.1095 0.8195
S 0.1223 0.5958 0.0712
S 0.1388 0.6042 0.3184
Zn 0.4970 0.2501 0.6250
S 0.6310 0.3508 0.9454
P 0.7485 0.2570 0.2490
S 0.3695 0.3859 0.3240
S 0.1323 0.1079 0.3236
S 0.6395 0.8547 0.6928
S 0.3668 0.6106 0.6769
S 0.1327 0.3957 0.4307
P 0.7474 0.2445 0.9995
Li 0.9881 0.2480 0.1241
P 0.2512 0.5000 0.6247
S 0.8651 0.8608 0.5519
Li 0.7496 0.9937 0.1275
S 0.1219 0.3886 0.1795
Li 0.0048 0.7500 0.3761
S 0.6320 0.3545 0.6931
Li 0.2488 0.2500 0.0000
Li 0.4822 0.7515 0.1240
Li 0.5006 0.9970 0.2501
P 0.2549 0.0050 0.3769
P 0.2464 0.0034 0.8726
S 0.8657 0.3598 0.0513
Li 0.5009 0.4987 0.5009
S 0.8794 0.8560 0.0553
Li 0.5056 0.2516 0.1260
S 0.8603 0.3651 0.8003
Li 0.9974 0.0002 0.2530
Li 0.9866 0.2518 0.8713
S 0.8665 0.1451 0.1986
S 0.8688 0.8548 0.3039
S 0.6406 0.8525 0.9472
S 0.6356 0.8533 0.4438
S 0.1368 0.8985 0.9305
S 0.1350 0.8969 0.6809
S 0.6285 0.8502 0.1961
S 0.3634 0.3864 0.8221
S 0.1375 0.6049 0.5684
S 0.1307 0.5987 0.8211
S 0.8658 0.1398 0.6967
S 0.3609 0.6011 0.1759
S 0.6273 0.3633 0.1969
S 0.8670 0.8598 0.8010
Zn 0.5008 0.7510 0.3743
Li 0.5007 0.9976 0.7489
P 0.2507 0.0001 0.6251
Zn 0.5033 0.2506 0.8716
S 0.6292 0.1422 0.0538
S 0.3704 0.9026 0.0715
Li 0.5014 0.9980 0.9956
Zn 0.9981 0.5000 0.9969
S 0.8717 0.3597 0.3030

Uncorrected energy ... -922.195 eV per cell
Energy relative to the elements ... -83 kJ/mol of atoms
Crystal system ... triclinic


# 4
The following is a r²SCAN calculation of crystalline CaAcIn2 at its relaxed geometry, from the Materials Project.

Cell lengths 5.6552, 5.6552, 5.6552 Å; angles 60.00, 60.00, 60.00 degrees
Atoms (fractional coordinates):
In 0.5000 0.5000 0.5000
Ac 0.2500 0.2500 0.2500
In 0.0000 0.0000 0.0000
Ca 0.7500 0.7500 0.7500

Uncorrected energy ... -123.085 eV per cell
Energy relative to the elements ... -54 kJ/mol of atoms
Crystal system ... cubic


# 5
The following is a r²SCAN calculation of crystalline Hf3Al2 at its relaxed geometry, from the Materials Project.

Cell lengths 6.8677, 7.5356, 7.5356 Å; angles 90.00, 90.00, 90.00 degrees
Atoms (fractional coordinates):
Hf 0.0000 0.2022 0.7978
Al 0.7098 0.3787 0.6213
Hf 0.0000 0.3455 0.3455
Al 0.7902 0.1213 0.1213
Hf 0.5000 0.8455 0.1545
Hf 0.7500 0.5000 0.0000
Hf 0.5000 0.1545 0.8455
Hf 0.2500 0.0000 0.5000
Al 0.2098 0.8787 0.8787
Hf 0.2500 0.5000 0.0000
Hf 0.0000 0.6545 0.6545
Hf 0.5000 0.2978 0.2978
Al 0.2098 0.1213 0.1213
Hf 0.7500 0.0000 0.5000
Al 0.2902 0.6213 0.3787
Hf 0.0000 0.7978 0.2022
Al 0.7098 0.6213 0.3787
Al 0.7902 0.8787 0.8787
Hf 0.5000 0.7022 0.7022
Al 0.2902 0.3787 0.6213

Uncorrected energy ... -603.214 eV per cell
Energy relative to the elements ... -36 kJ/mol of atoms
Crystal system ... tetragonal


# 6
The following is a r²SCAN calculation of crystalline SrAcHg2 at its relaxed geometry, from the Materials Project.

Cell lengths 5.6571, 5.6571, 5.6571 Å; angles 60.00, 60.00, 60.00 degrees
Atoms (fractional coordinates):
Sr 0.7500 0.7500 0.7500
Hg 0.0000 0.0000 0.0000
Hg 0.5000 0.5000 0.5000
Ac 0.2500 0.2500 0.2500

Uncorrected energy ... -184.836 eV per cell
Energy relative to the elements ... -56 kJ/mol of atoms
Crystal system ... cubic